one.
## SrU2As2O20 (GGA-PBE)

Data for a relaxed SrU2As2O20 crystal.

Cell lengths 7.168, 7.309, 16.176 Å; angles 83.26, 90.00, 90.00 degrees
Sites, in units of the cell vectors:
O1 0.736 0.040 0.575
O2 0.268 0.439 0.728
O3 0.752 0.258 0.050
O4 0.255 0.718 0.178
O5 0.426 0.907 0.808
O6 0.942 0.771 0.059
O7 0.058 0.771 0.559
O8 0.248 0.258 0.550
O9 0.954 0.320 0.699
O10 0.574 0.907 0.308
O11 0.268 0.561 0.772
O12 0.736 0.960 0.925
O13 0.046 0.680 0.301
O14 0.257 0.923 0.799
O15 0.436 0.725 0.558
O16 0.745 0.718 0.678
O17 0.436 0.275 0.942
O18 0.777 0.586 0.931
O19 0.954 0.680 0.801
O20 0.777 0.414 0.569
O21 0.257 0.077 0.701
O22 0.574 0.093 0.192
O23 0.255 0.282 0.322
O24 0.264 0.040 0.075
O25 0.564 0.725 0.058
O26 0.564 0.275 0.442
O27 0.745 0.282 0.822
O28 0.426 0.093 0.692
O29 0.743 0.077 0.201
O30 0.248 0.742 0.950
O31 0.223 0.586 0.431
O32 0.732 0.561 0.272
O33 0.058 0.229 0.941
O34 0.743 0.923 0.299
O35 0.223 0.414 0.069
O36 0.264 0.960 0.425
O37 0.942 0.229 0.441
O38 0.752 0.742 0.450
O39 0.046 0.320 0.199
O40 0.732 0.439 0.228
Sr1 0.213 0.000 0.250
Sr2 0.787 0.000 0.750
As1 0.755 0.239 0.507
As2 0.245 0.761 0.493
As3 0.755 0.761 0.993
As4 0.245 0.239 0.007
U1 0.251 0.275 0.438
U2 0.749 0.275 0.938
U3 0.251 0.725 0.062
U4 0.749 0.725 0.562

Properties
The value obtained for the total magnetization is 15.7 μB per cell. Its mass density is 4.08 g/cm3. Its space group is P2/c, No. 13.

two.
## SrU2As2O20 (GGA-PBE)

Data for a relaxed SrU2As2O20 crystal.

Cell lengths 7.337, 7.324, 15.476 Å; angles 81.51, 90.00, 90.00 degrees
Sites, in units of the cell vectors:
O1 0.254 0.864 0.072
O2 0.254 0.352 0.695
O3 0.743 0.395 0.956
O4 0.562 0.367 0.572
O5 0.504 0.717 0.214
O6 0.945 0.875 0.954
O7 0.748 0.590 0.435
O8 0.746 0.924 0.333
O9 0.202 0.224 0.272
O10 0.252 0.590 0.935
O11 0.564 0.905 0.953
O12 0.748 0.064 0.757
O13 0.179 0.658 0.312
O14 0.954 0.237 0.808
O15 0.821 0.658 0.812
O16 0.231 0.055 0.581
O17 0.496 0.717 0.714
O18 0.810 0.612 0.738
O19 0.254 0.924 0.833
O20 0.046 0.237 0.308
O21 0.746 0.352 0.195
O22 0.746 0.864 0.572
O23 0.952 0.974 0.207
O24 0.055 0.875 0.454
O25 0.252 0.064 0.257
O26 0.254 0.677 0.591
O27 0.798 0.224 0.772
O28 0.518 0.469 0.295
O29 0.769 0.209 0.448
O30 0.257 0.395 0.456
O31 0.946 0.392 0.573
O32 0.054 0.392 0.073
O33 0.769 0.055 0.081
O34 0.048 0.974 0.707
O35 0.190 0.612 0.238
O36 0.746 0.677 0.091
O37 0.231 0.209 0.948
O38 0.438 0.367 0.072
O39 0.482 0.469 0.795
O40 0.436 0.905 0.453
U1 0.254 0.903 0.954
U2 0.746 0.903 0.454
U3 0.744 0.365 0.074
U4 0.256 0.365 0.574
As1 0.245 0.880 0.517
As2 0.755 0.880 0.017
As3 0.756 0.387 0.509
As4 0.244 0.387 0.009
Sr1 0.175 0.641 0.764
Sr2 0.825 0.641 0.264

Properties
The value obtained for the total magnetization is 12.0 μB per cell. Its mass density is 4.17 g/cm3. Its space group is Pc, No. 7.

Pick one: it beats the second-best structure by 250 meV/atom.

one.
## TaAsO5 (GGA-PBE)

Data for a relaxed TaAsO5 crystal.

Cell lengths 5.575, 11.822, 6.954 Å; angles 90.00, 90.00, 90.00 degrees
Sites, in units of the cell vectors:
O1 0.497 0.125 0.345
O2 0.250 0.205 0.017
O3 0.000 0.500 0.500
O4 0.750 0.795 0.983
O5 0.503 0.375 0.845
O6 0.750 0.083 0.685
O7 0.503 0.875 0.655
O8 0.500 0.500 0.500
O9 0.250 0.705 0.483
O10 0.497 0.625 0.155
O11 0.003 0.125 0.345
O12 0.997 0.375 0.845
O13 0.750 0.583 0.815
O14 0.750 0.295 0.517
O15 0.250 0.417 0.185
O16 0.997 0.875 0.655
O17 0.003 0.625 0.155
O18 0.250 0.917 0.315
O19 0.000 0.000 0.000
O20 0.500 0.000 0.000
As1 0.750 0.654 0.029
As2 0.250 0.346 0.971
As3 0.250 0.846 0.529
As4 0.750 0.154 0.471
Ta1 0.250 0.560 0.340
Ta2 0.750 0.440 0.660
Ta3 0.250 0.060 0.160
Ta4 0.750 0.940 0.840

Properties
Its mass density is 4.87 g/cm3. Its space group is Pnma, No. 62.

two.
## TaAsO5 (GGA-PBE)

Data for a relaxed TaAsO5 crystal.

Cell lengths 6.303, 7.741, 8.379 Å; angles 90.00, 90.00, 90.00 degrees
Sites, in units of the cell vectors:
O1 0.049 0.711 0.467
O2 0.281 0.112 0.698
O3 0.451 0.289 0.967
O4 0.505 0.919 0.928
O5 0.788 0.855 0.216
O6 0.712 0.145 0.716
O7 0.549 0.789 0.533
O8 0.005 0.581 0.072
O9 0.288 0.645 0.784
O10 0.992 0.864 0.917
O11 0.719 0.612 0.802
O12 0.212 0.355 0.284
O13 0.781 0.388 0.302
O14 0.995 0.081 0.428
O15 0.508 0.136 0.417
O16 0.495 0.419 0.572
O17 0.008 0.364 0.583
O18 0.219 0.888 0.198
O19 0.951 0.211 0.033
O20 0.492 0.636 0.083
Ta1 0.251 0.247 0.496
Ta2 0.249 0.753 0.996
Ta3 0.749 0.747 0.004
Ta4 0.751 0.253 0.504
As1 0.514 0.635 0.664
As2 0.986 0.365 0.164
As3 0.014 0.865 0.336
As4 0.486 0.135 0.836

Properties
The value obtained for the total magnetization is 0.0 μB per cell. Its mass density is 5.46 g/cm3. Its space group is P2_12_12_1, No. 19.

Pick one: it beats the second-best structure by 242 meV/atom.

one.
## ZrAs2O10 (GGA-PBE)

Data for a relaxed ZrAs2O10 crystal.

Cell lengths 5.586, 6.956, 12.466 Å; angles 90.00, 102.15, 90.00 degrees
Sites, in units of the cell vectors:
O1 0.537 0.239 0.004
O2 0.112 0.223 0.290
O3 0.936 0.744 0.964
O4 0.412 0.890 0.328
O5 0.816 0.944 0.141
O6 0.064 0.244 0.036
O7 0.072 0.563 0.516
O8 0.173 0.046 0.857
O9 0.888 0.723 0.710
O10 0.011 0.920 0.341
O11 0.581 0.256 0.247
O12 0.419 0.756 0.753
O13 0.588 0.390 0.672
O14 0.928 0.063 0.484
O15 0.827 0.546 0.143
O16 0.463 0.739 0.996
O17 0.547 0.148 0.464
O18 0.453 0.648 0.536
O19 0.989 0.420 0.659
O20 0.184 0.444 0.859
As1 0.237 0.243 0.939
As2 0.763 0.743 0.061
As3 0.588 0.640 0.675
As4 0.412 0.140 0.325
Zr1 0.821 0.248 0.137
Zr2 0.179 0.748 0.863

Properties
The value obtained for the total magnetization is 8.0 μB per cell. Its mass density is 2.81 g/cm3. Its space group is P2_1, No. 4.

two.
## ZrAs2O10 (GGA-PBE)

Data for a relaxed ZrAs2O10 crystal.

Cell lengths 6.970, 5.652, 13.119 Å; angles 77.49, 90.00, 90.00 degrees
Sites, in units of the cell vectors:
As1 0.354 0.398 0.697
As2 0.247 0.250 0.055
As3 0.747 0.750 0.945
As4 0.854 0.602 0.303
O1 0.047 0.176 0.130
O2 0.824 0.393 0.467
O3 0.248 0.120 0.727
O4 0.251 0.095 0.957
O5 0.890 0.179 0.479
O6 0.667 0.286 0.690
O7 0.324 0.607 0.533
O8 0.758 0.412 0.233
O9 0.167 0.714 0.310
O10 0.445 0.179 0.133
O11 0.751 0.905 0.043
O12 0.748 0.880 0.273
O13 0.390 0.821 0.521
O14 0.176 0.922 0.328
O15 0.746 0.446 0.998
O16 0.547 0.824 0.870
O17 0.258 0.588 0.767
O18 0.246 0.554 0.002
O19 0.676 0.078 0.672
O20 0.945 0.821 0.867
Zr1 0.745 0.166 0.129
Zr2 0.245 0.834 0.871

Properties
The value obtained for the total magnetization is 4.0 μB per cell. Its mass density is 2.64 g/cm3. Its space group is P2_1, No. 4.

Pick one: it beats the second-best structure by 22 meV/atom.